{"formula": "Ta3Ru", "functional": "GGA-PBE", "state": "optimized geometry", "lattice_angstrom": [[1.669, -2.342, 0.000], [1.669, 2.342, 0.000], [0.000, 0.000, 8.814]], "species": ["Ta", "Ta", "Ta", "Ru"], "frac_coords": [[0.500, 0.500, 0.764], [0.000, 0.000, 0.500], [0.500, 0.500, 0.236], [0.000, 0.000, 0.000]], "magmom_total_mub_per_atom": 0.0227, "crystal_system": "orthorhombic", "e_tot_ev_per_atom": -11.316}

{"formula": "BaIrN2", "functional": "GGA-PBE", "state": "optimized geometry", "lattice_angstrom": [[7.405, 0.246, 0.000], [12.107, 5.973, 0.000], [0.000, 0.000, 7.686]], "species": ["Ir", "Ir", "Ir", "Ir", "N", "N", "N", "N", "N", "N", "N", "N", "Ba", "Ba", "Ba", "Ba"], "frac_coords": [[0.000, 0.911, 0.867], [0.000, 0.589, 0.367], [0.000, 0.411, 0.633], [0.000, 0.089, 0.133], [0.500, 0.787, 0.250], [0.500, 0.213, 0.750], [0.000, 0.670, 0.552], [0.000, 0.830, 0.052], [0.000, 0.330, 0.448], [0.500, 0.713, 0.750], [0.000, 0.170, 0.948], [0.500, 0.287, 0.250], [0.000, 0.861, 0.416], [0.000, 0.639, 0.916], [0.000, 0.361, 0.084], [0.000, 0.139, 0.584]], "magmom_total_mub_per_atom": 0.2283, "crystal_system": "orthorhombic", "e_tot_ev_per_atom": -6.958}

{"formula": "MgTi6H4O14", "functional": "GGA-PBE", "state": "optimized geometry", "lattice_angstrom": [[-3.482, -5.618, 5.361], [5.689, 2.514, -4.571], [5.363, 5.141, 5.713]], "species": ["O", "O", "O", "O", "O", "O", "O", "O", "O", "O", "O", "O", "O", "O", "Ti", "Ti", "Ti", "Ti", "Ti", "Ti", "Mg", "H", "H", "H", "H"], "frac_coords": [[0.792, 0.133, 0.971], [0.263, 0.005, 0.306], [0.153, 0.151, 0.862], [0.288, 0.666, 0.458], [0.268, 0.921, 0.024], [0.272, 0.791, 0.738], [0.771, 0.368, 0.532], [0.754, 0.472, 0.798], [0.805, 0.063, 0.688], [0.266, 0.133, 0.577], [0.848, 0.826, 0.151], [0.802, 0.948, 0.405], [0.783, 0.270, 0.248], [0.302, 0.554, 0.202], [0.775, 0.240, 0.782], [0.789, 0.140, 0.493], [0.803, 0.062, 0.172], [0.250, 0.999, 0.818], [0.281, 0.813, 0.210], [0.268, 0.936, 0.511], [0.307, 0.400, 0.427], [0.046, 0.039, 0.959], [0.015, 0.900, 0.217], [0.023, 0.121, 0.790], [0.632, 0.547, 0.158]], "magmom_total_mub_per_atom": 0.0427, "crystal_system": "triclinic", "e_above_lowest_polymorph_ev_per_fu": 0.00}